# SrZnSi PBE relaxed
data_SrZnSi
_cell_length_a 4.2715
_cell_length_b 4.2715
_cell_length_c 4.6322
_cell_angle_alpha 90.00
_cell_angle_beta 90.00
_cell_angle_gamma 120.00
_space_group_name_H-M_alt 'P -6 m 2'
_space_group_IT_number 187
_space_group_name_Hall 'P -6 2'
loop_
_atom_site_label
_atom_site_type_symbol
_atom_site_fract_x
_atom_site_fract_y
_atom_site_fract_z
Sr1 Sr 0.0000 0.0000 0.0000
Zn1 Zn 0.6667 0.3333 0.5000
Si1 Si 0.3333 0.6667 0.5000
# total magnetization	0.00	μB/f.u.
# calculated total energy	-3.21	eV per atom
# theoretical density	4.11	Mg/m³